Compound: Li2Cr3P4O14
Source: the Materials Project database
Functional: PBE+U
Structure: optimized geometry

Output
E above lowest polymorph   0 meV/atom
Crystal system   monoclinic
Energy with MP2020 corrections   -182.68 eV/f.u.
E_tot   -334.13 eV per cell
ΔH_f (0 K)   -2564 meV/atom
Space group   No. 14

Structure (POSCAR):
```
Li2Cr3P4O14
1.0
-4.9997 4.4212 -4.6136
-3.5828 -6.1520 -2.0128
-7.1488 -1.5577 6.2544
Li Cr P O
4 6 8 28
Direct
0.5813 0.2960 0.1428
0.0813 0.7040 0.3572
0.9187 0.2960 0.6428
0.4187 0.7040 0.8572
0.3729 0.8050 0.5189
0.8729 0.1950 0.9811
0.1271 0.8050 0.0189
0.0000 0.0000 0.5000
0.6271 0.1950 0.4811
0.5000 0.0000 0.0000
0.4574 0.5974 0.2827
0.7103 0.8910 0.3017
0.0426 0.5974 0.7827
0.5426 0.4026 0.7173
0.7897 0.8910 0.8017
0.9574 0.4026 0.2173
0.2897 0.1090 0.6983
0.2103 0.1090 0.1983
0.1210 0.1470 0.6251
0.9032 0.2978 0.3741
0.3651 0.3131 0.6878
0.6349 0.6869 0.3122
0.9971 0.3885 0.8062
0.4971 0.6115 0.6938
0.8651 0.6869 0.8122
0.4069 0.0125 0.6190
0.0968 0.7022 0.6259
0.9069 0.9875 0.8810
0.6647 0.3756 0.6034
0.0029 0.6115 0.1938
0.5968 0.2978 0.8741
0.3353 0.6244 0.3966
0.7874 0.0058 0.6357
0.5931 0.9875 0.3810
0.4032 0.7022 0.1259
0.7126 0.0058 0.1357
0.5029 0.3885 0.3062
0.8790 0.8530 0.3749
0.2126 0.9942 0.3643
0.6210 0.8530 0.8749
0.3790 0.1470 0.1251
0.8353 0.3756 0.1034
0.0931 0.0125 0.1190
0.1349 0.3131 0.1878
0.1647 0.6244 0.8966
0.2874 0.9942 0.8643
```



Compound: LiCr3P6O20
Source: the Materials Project database
Functional: PBE+U
Structure: optimized geometry

Output
Crystal system   orthorhombic
Energy with MP2020 corrections   -239.09 eV/f.u.
E_tot   -438.70 eV per cell
ΔH_f (0 K)   -2559 meV/atom
Space group   No. 41

Structure (POSCAR):
```
LiCr3P6O20
1.0
5.1006 -6.8486 0.0000
5.1006 6.8486 0.0000
0.0000 0.0000 12.5933
Li Cr P O
2 6 12 40
Direct
0.1075 0.1075 0.0000
0.6075 0.6075 0.5000
0.3886 0.3886 0.0000
0.7700 0.3240 0.7825
0.8240 0.2700 0.2825
0.3240 0.7700 0.2175
0.2700 0.8240 0.7175
0.8886 0.8886 0.5000
0.4036 0.1337 0.3040
0.1337 0.4036 0.6960
0.3641 0.2278 0.7835
0.2278 0.3641 0.2165
0.3715 0.7536 0.9492
0.2536 0.8715 0.4492
0.8715 0.2536 0.5508
0.7536 0.3715 0.0508
0.9036 0.6337 0.1960
0.6337 0.9036 0.8040
0.8641 0.7278 0.7165
0.7278 0.8641 0.2835
0.0061 0.3211 0.7771
0.3211 0.0061 0.2229
0.3496 0.0634 0.7371
0.0634 0.3496 0.2629
0.0601 0.3571 0.5783
0.3571 0.0601 0.4217
0.2726 0.2229 0.8929
0.2229 0.2726 0.1071
0.3181 0.2778 0.3021
0.2778 0.3181 0.6979
0.7103 0.0833 0.8013
0.2103 0.5833 0.6987
0.0833 0.7103 0.1987
0.5833 0.2103 0.3013
0.3383 0.5379 0.2024
0.5379 0.3383 0.7976
0.0379 0.8383 0.7024
0.8383 0.0379 0.2976
0.3660 0.5725 0.9271
0.0725 0.8660 0.4271
0.8660 0.0725 0.5729
0.5725 0.3660 0.0729
0.3052 0.7548 0.3746
0.8052 0.2548 0.1254
0.7548 0.3052 0.6254
0.2548 0.8052 0.8746
0.2946 0.8465 0.5618
0.7946 0.3465 0.9382
0.8465 0.2946 0.4382
0.3465 0.7946 0.0618
0.8211 0.5061 0.2771
0.5061 0.8211 0.7229
0.8496 0.5634 0.7629
0.5634 0.8496 0.2371
0.5601 0.8571 0.9217
0.8571 0.5601 0.0783
0.7229 0.7726 0.3929
0.7726 0.7229 0.6071
0.7778 0.8181 0.8021
0.8181 0.7778 0.1979
```